No. 1
! CoMoO3, optimized geometry, DFT GGA+U; values from VASP
! Raw total energy, eV/atom: -6.232
! Formation enthalpy at 0 K, meV/atom: -1053
! Space-group type: Pm-3m
! Total magnetic moment, μB/f.u.: 4.32
! E (MP2020), eV per formula unit: -38.1
&SYSTEM
  ibrav = 0, nat = 5, ntyp = 3
/
ATOMIC_SPECIES
Co 58.93 Co.upf
Mo 95.94 Mo.upf
O 16.00 O.upf
ATOMIC_POSITIONS crystal
Co 0.0000 0.0000 0.0000
Mo 0.5000 0.5000 0.5000
O 0.0000 0.5000 0.5000
O 0.5000 0.0000 0.5000
O 0.5000 0.5000 0.0000
CELL_PARAMETERS angstrom
3.9836 0.0000 0.0000
0.0000 3.9836 0.0000
0.0000 0.0000 3.9836

No. 2
! CoMo4O15, optimized geometry, DFT GGA+U; values from VASP
! Raw total energy, eV/atom: -6.517
! Formation enthalpy at 0 K, meV/atom: -1519
! Space-group type: P-1
! Total magnetic moment, μB/f.u.: 7.00
! E (MP2020), eV per formula unit: -155.1
&SYSTEM
  ibrav = 0, nat = 20, ntyp = 3
/
ATOMIC_SPECIES
Co 58.93 Co.upf
Mo 95.94 Mo.upf
O 16.00 O.upf
ATOMIC_POSITIONS crystal
Co 0.0000 0.0000 0.0000
Mo 0.1278 0.6580 0.6091
Mo 0.4473 0.6928 0.1819
Mo 0.5527 0.3072 0.8181
Mo 0.8722 0.3420 0.3909
O 0.0439 0.8295 0.7861
O 0.1299 0.1785 0.4928
O 0.1549 0.5051 0.3526
O 0.2169 0.8225 0.1042
O 0.2974 0.1637 0.8907
O 0.3302 0.5022 0.6971
O 0.3584 0.7903 0.4317
O 0.5000 0.5000 0.0000
O 0.6416 0.2097 0.5683
O 0.6698 0.4978 0.3029
O 0.7026 0.8363 0.1093
O 0.7831 0.1775 0.8958
O 0.8451 0.4949 0.6474
O 0.8701 0.8215 0.5072
O 0.9561 0.1705 0.2139
CELL_PARAMETERS angstrom
5.6162 0.0000 0.0000
0.1578 7.0398 0.0000
1.7464 0.0212 7.4257

No. 3
! Co2Mo3O8, optimized geometry, DFT GGA+U; values from VASP
! Raw total energy, eV/atom: -6.887
! Formation enthalpy at 0 K, meV/atom: -1660
! Space-group type: P6_3mc
! Total magnetic moment, μB/f.u.: 6.00
! E (MP2020), eV per formula unit: -107.9
&SYSTEM
  ibrav = 0, nat = 26, ntyp = 3
/
ATOMIC_SPECIES
Co 58.93 Co.upf
Mo 95.94 Mo.upf
O 16.00 O.upf
ATOMIC_POSITIONS crystal
Co 0.3333 0.6667 0.0000
Co 0.3333 0.6667 0.4313
Co 0.6667 0.3333 0.5000
Co 0.6667 0.3333 0.9313
Mo 0.1460 0.2920 0.7335
Mo 0.1460 0.8540 0.7335
Mo 0.2920 0.1460 0.2335
Mo 0.7080 0.8540 0.7335
Mo 0.8540 0.1460 0.2335
Mo 0.8540 0.7080 0.2335
O 0.0000 0.0000 0.3767
O 0.0000 0.0000 0.8767
O 0.0243 0.5122 0.8494
O 0.1680 0.3361 0.1167
O 0.1680 0.8320 0.1167
O 0.3333 0.6667 0.6282
O 0.3361 0.1680 0.6167
O 0.4878 0.5122 0.8494
O 0.4878 0.9757 0.8494
O 0.5122 0.0243 0.3494
O 0.5122 0.4878 0.3494
O 0.6639 0.8320 0.1167
O 0.6667 0.3333 0.1282
O 0.8320 0.1680 0.6167
O 0.8320 0.6639 0.6167
O 0.9757 0.4878 0.3494
CELL_PARAMETERS angstrom
5.8714 0.0000 0.0000
-2.9357 5.0847 0.0000
0.0000 0.0000 10.0209

No. 4
! CoMo6O34, optimized geometry, DFT GGA+U; values from VASP
! Raw total energy, eV/atom: -5.975
! Formation enthalpy at 0 K, meV/atom: -754
! Space-group type: P2_1/c
! Total magnetic moment, μB/f.u.: 7.17
! E (MP2020), eV per formula unit: -271.3
&SYSTEM
  ibrav = 0, nat = 82, ntyp = 3
/
ATOMIC_SPECIES
Co 58.93 Co.upf
Mo 95.94 Mo.upf
O 16.00 O.upf
ATOMIC_POSITIONS crystal
Co 0.0000 0.0000 0.0000
Co 0.0000 0.5000 0.5000
Mo 0.1463 0.2313 0.6141
Mo 0.1463 0.2687 0.1141
Mo 0.1666 0.7500 0.4404
Mo 0.1666 0.7500 0.9404
Mo 0.3027 0.0196 0.0425
Mo 0.3027 0.4804 0.5425
Mo 0.6973 0.5196 0.4575
Mo 0.6973 0.9804 0.9575
Mo 0.8334 0.2500 0.0596
Mo 0.8334 0.2500 0.5596
Mo 0.8537 0.7313 0.8859
Mo 0.8537 0.7687 0.3859
O 0.0034 0.5816 0.2813
O 0.0034 0.9184 0.7813
O 0.0087 0.0401 0.3135
O 0.0087 0.4599 0.8135
O 0.0106 0.6982 0.9522
O 0.0106 0.8018 0.4522
O 0.0979 0.6141 0.5426
O 0.0979 0.8859 0.0426
O 0.1221 0.1064 0.0070
O 0.1221 0.3936 0.5070
O 0.1443 0.1859 0.7503
O 0.1443 0.3141 0.2503
O 0.1727 0.6993 0.8064
O 0.1727 0.8007 0.3064
O 0.2305 0.1312 0.5561
O 0.2305 0.3688 0.0561
O 0.2454 0.1250 0.1559
O 0.2454 0.3750 0.6559
O 0.2498 0.5992 0.4293
O 0.2498 0.9008 0.9293
O 0.2578 0.6603 0.0291
O 0.2578 0.8397 0.5291
O 0.3902 0.5638 0.6405
O 0.3902 0.9362 0.1405
O 0.3909 0.1113 0.9801
O 0.3909 0.3887 0.4801
O 0.3918 0.5133 0.8954
O 0.3918 0.9867 0.3954
O 0.4010 0.5794 0.2411
O 0.4010 0.9206 0.7411
O 0.4602 0.5937 0.8910
O 0.4602 0.9063 0.3910
O 0.4667 0.6596 0.2273
O 0.4667 0.8404 0.7273
O 0.5333 0.1596 0.2727
O 0.5333 0.3404 0.7727
O 0.5398 0.0937 0.6090
O 0.5398 0.4063 0.1090
O 0.5990 0.0794 0.2589
O 0.5990 0.4206 0.7589
O 0.6082 0.0133 0.6046
O 0.6082 0.4867 0.1046
O 0.6091 0.6113 0.5199
O 0.6091 0.8887 0.0199
O 0.6098 0.0638 0.8595
O 0.6098 0.4362 0.3595
O 0.7422 0.1603 0.4709
O 0.7422 0.3397 0.9709
O 0.7502 0.0992 0.0707
O 0.7502 0.4008 0.5707
O 0.7546 0.6250 0.3441
O 0.7546 0.8750 0.8441
O 0.7695 0.6312 0.9439
O 0.7695 0.8688 0.4439
O 0.8273 0.1993 0.6936
O 0.8273 0.3007 0.1936
O 0.8557 0.6859 0.7497
O 0.8557 0.8141 0.2497
O 0.8779 0.6064 0.4930
O 0.8779 0.8936 0.9930
O 0.9021 0.1141 0.9574
O 0.9021 0.3859 0.4574
O 0.9894 0.1982 0.5478
O 0.9894 0.3018 0.0478
O 0.9913 0.5401 0.1865
O 0.9913 0.9599 0.6865
O 0.9966 0.0816 0.2187
O 0.9966 0.4184 0.7187
CELL_PARAMETERS angstrom
11.8137 0.0000 0.0000
0.0000 11.1648 0.0000
-1.8644 0.0000 11.9746

No. 5
! CoMoO4, optimized geometry, DFT GGA+U; values from VASP
! Raw total energy, eV/atom: -6.628
! Formation enthalpy at 0 K, meV/atom: -1601
! Space-group type: P2/c
! Total magnetic moment, μB/f.u.: 3.00
! E (MP2020), eV per formula unit: -47.4
! Relative energy among the computed polymorphs, meV per atom: 101
&SYSTEM
  ibrav = 0, nat = 12, ntyp = 3
/
ATOMIC_SPECIES
Co 58.93 Co.upf
Mo 95.94 Mo.upf
O 16.00 O.upf
ATOMIC_POSITIONS crystal
Co 0.0000 0.1383 0.2500
Co 0.0000 0.8617 0.7500
Mo 0.5000 0.3341 0.7500
Mo 0.5000 0.6659 0.2500
O 0.2238 0.1124 0.5814
O 0.2238 0.8876 0.0814
O 0.2629 0.3770 0.0872
O 0.2629 0.6230 0.5872
O 0.7371 0.3770 0.4128
O 0.7371 0.6230 0.9128
O 0.7762 0.1124 0.9186
O 0.7762 0.8876 0.4186
CELL_PARAMETERS angstrom
4.4905 0.0000 0.0000
0.0000 5.4957 0.0000
-0.0272 0.0000 4.9915

No. 6
! Sr2CoMoO6, optimized geometry, DFT GGA+U; values from VASP
! Raw total energy, eV/atom: -6.684
! Formation enthalpy at 0 K, meV/atom: -2478
! Total magnetic moment, μB/f.u.: 0.00
! E (MP2020), eV per formula unit: -75.8
! Relative energy among the computed polymorphs, meV per atom: 0
&SYSTEM
  ibrav = 0, nat = 20, ntyp = 4
/
ATOMIC_SPECIES
O 16.00 O.upf
Co 58.93 Co.upf
Sr 87.62 Sr.upf
Mo 95.94 Mo.upf
ATOMIC_POSITIONS crystal
O 0.2583 0.1294 0.6119
O 0.7417 0.8706 0.3881
O 0.2570 0.6285 0.6295
O 0.7415 0.6283 0.6301
O 0.7427 0.8714 0.8703
O 0.2581 0.6294 0.1122
O 0.7430 0.3715 0.3705
O 0.2579 0.8718 0.8704
O 0.7419 0.3706 0.8878
O 0.2573 0.1286 0.1297
O 0.2585 0.3717 0.3699
O 0.7421 0.1282 0.1296
Co 0.0000 0.0000 0.0000
Co 0.0000 0.5000 0.5000
Sr 0.2500 0.8756 0.3751
Sr 0.2502 0.3756 0.8750
Sr 0.7500 0.1244 0.6249
Sr 0.7498 0.6244 0.1250
Mo 0.5000 0.7500 0.7500
Mo 0.5000 0.2500 0.2500
CELL_PARAMETERS angstrom
2.0801 -1.1681 -5.1169
7.4335 3.5763 5.3109
2.8861 -4.8066 -0.8465